(i)
A plane-wave DFT calculation with GGA+U was carried out for an optimized crystal structure of MgNiP2O7.

Calculated values
Space-group type: No. 1
Crystal system: triclinic

Cell: 5.681 5.543 5.046 Å, 95.81 109.41 73.91°
Element x y z (fractional)
P (0.286, 0.684, 0.568)
Mg (0.497, 0.175, 0.876)
O (0.779, 0.122, 0.696)
O (0.104, 0.774, 0.279)
O (0.574, 0.566, 0.522)
O (0.810, 0.267, 0.226)
O (0.326, 0.899, 0.787)
O (0.408, 0.197, 0.244)
Ni (0.097, 0.053, 0.062)
O (0.235, 0.473, 0.691)
P (0.654, 0.278, 0.424)

(ii)
A plane-wave DFT calculation with GGA+U was carried out for an optimized crystal structure of MgNiP2O7.

Calculated values
Space-group type: No. 5
Crystal system: monoclinic

Cell: 5.802 5.802 5.185 Å, 88.34 91.67 73.38°
Element x y z (fractional)
O (0.547, 0.547, 0.500)
O (0.270, 0.867, 0.755)
P (0.266, 0.674, 0.554)
Ni (0.001, 0.001, 0.000)
O (0.817, 0.159, 0.697)
P (0.674, 0.266, 0.446)
O (0.159, 0.817, 0.303)
Mg (0.170, 0.170, 0.500)
O (0.867, 0.270, 0.245)
O (0.149, 0.487, 0.645)
O (0.487, 0.149, 0.355)

Which one sits at the top of the stability order? (i) does.

(i)
A plane-wave DFT calculation with GGA+U was carried out for an optimized crystal structure of MgTi3Fe2CoP6O24.

Calculated values
Space-group type: No. 1
Crystal system: triclinic

Cell: 8.541 8.752 8.770 Å, 60.11 59.81 59.47°
Element x y z (fractional)
O (0.048, 0.524, 0.110)
O (0.768, 0.922, 0.287)
O (0.097, 0.318, 0.477)
Fe (0.989, 0.013, 0.989)
O (0.556, 0.623, 0.003)
P (0.229, 0.966, 0.258)
P (0.237, 0.561, 0.957)
O (0.255, 0.582, 0.761)
O (0.262, 0.424, 0.571)
O (0.247, 0.772, 0.418)
Ti (0.412, 0.869, 0.866)
O (0.770, 0.265, 0.074)
O (0.459, 0.196, 0.403)
O (0.223, 0.106, 0.740)
O (0.916, 0.669, 0.525)
P (0.259, 0.261, 0.545)
Fe (0.748, 0.141, 0.370)
O (0.030, 0.121, 0.319)
Co (0.550, 0.157, 0.149)
O (0.711, 0.604, 0.447)
Ti (0.930, 0.379, 0.348)
P (0.735, 0.754, 0.472)
O (0.214, 0.947, 0.097)
O (0.546, 0.013, 0.834)
P (0.737, 0.470, 0.048)
O (0.413, 0.407, 0.002)
Mg (0.478, 0.530, 0.507)
Ti (0.054, 0.652, 0.653)
O (0.707, 0.243, 0.584)
O (0.707, 0.452, 0.248)
P (0.730, 0.056, 0.758)
O (0.398, 0.015, 0.206)
O (0.904, 0.899, 0.681)
O (0.208, 0.759, 0.944)
O (0.763, 0.075, 0.903)
O (0.919, 0.512, 0.897)
O (0.555, 0.822, 0.627)

(ii)
A plane-wave DFT calculation with GGA+U was carried out for an optimized crystal structure of MgTi3Fe2CoP6O24.

Calculated values
Space-group type: No. 1
Crystal system: triclinic

Cell: 8.645 8.774 8.791 Å, 59.83 59.45 58.25°
Element x y z (fractional)
Mg (0.249, 0.250, 0.864)
Ti (0.929, 0.361, 0.359)
Fe (0.501, 0.515, 0.485)
O (0.231, 0.742, 0.935)
O (0.727, 0.249, 0.588)
O (0.226, 0.974, 0.078)
P (0.734, 0.059, 0.752)
O (0.260, 0.545, 0.774)
O (0.227, 0.101, 0.746)
Ti (0.057, 0.653, 0.642)
Ti (0.438, 0.850, 0.852)
P (0.253, 0.250, 0.540)
O (0.255, 0.759, 0.406)
O (0.435, 0.980, 0.199)
O (0.598, 0.615, 0.983)
O (0.267, 0.403, 0.578)
O (0.724, 0.593, 0.445)
P (0.251, 0.958, 0.254)
O (0.925, 0.665, 0.517)
O (0.782, 0.251, 0.062)
Co (0.573, 0.137, 0.150)
P (0.254, 0.542, 0.961)
O (0.897, 0.887, 0.687)
O (0.963, 0.462, 0.894)
O (0.068, 0.117, 0.324)
O (0.072, 0.503, 0.120)
O (0.438, 0.388, 0.991)
Fe (0.991, 0.990, 0.004)
P (0.766, 0.441, 0.044)
O (0.069, 0.317, 0.503)
O (0.437, 0.187, 0.393)
O (0.772, 0.051, 0.908)
O (0.566, 0.824, 0.610)
P (0.749, 0.750, 0.456)
O (0.739, 0.442, 0.233)
O (0.786, 0.899, 0.265)
O (0.535, 0.047, 0.812)

Which one sits at the top of the stability order? (i) does.

(i)
A plane-wave DFT calculation with GGA+U was carried out for an optimized crystal structure of Li2NiP4O12.

Calculated values
Space-group type: No. 14
Crystal system: monoclinic

Cell: 12.478 7.663 11.601 Å, 63.00 90.00 90.00°
Element x y z (fractional)
Li (0.940, 0.464, 0.402)
O (0.464, 0.440, 0.370)
O (0.439, 0.930, 0.225)
O (0.050, 0.043, 0.105)
O (0.148, 0.074, 0.863)
O (0.747, 0.186, 0.233)
O (0.135, 0.371, 0.122)
P (0.821, 0.387, 0.692)
P (0.834, 0.081, 0.354)
P (0.166, 0.919, 0.646)
O (0.863, 0.197, 0.425)
O (0.561, 0.070, 0.775)
Li (0.060, 0.536, 0.598)
O (0.142, 0.667, 0.165)
O (0.858, 0.333, 0.835)
Li (0.798, 0.969, 0.642)
Li (0.702, 0.969, 0.142)
Ni (0.348, 0.259, 0.488)
O (0.896, 0.287, 0.049)
P (0.080, 0.559, 0.097)
O (0.964, 0.560, 0.130)
O (0.247, 0.814, 0.267)
P (0.063, 0.934, 0.864)
O (0.253, 0.814, 0.767)
O (0.363, 0.803, 0.075)
O (0.642, 0.333, 0.335)
P (0.334, 0.919, 0.146)
Li (0.202, 0.031, 0.358)
O (0.950, 0.957, 0.895)
O (0.604, 0.287, 0.549)
O (0.751, 0.562, 0.649)
O (0.249, 0.438, 0.351)
O (0.915, 0.391, 0.608)
O (0.036, 0.440, 0.870)
O (0.865, 0.629, 0.878)
O (0.251, 0.438, 0.851)
P (0.920, 0.441, 0.903)
O (0.365, 0.371, 0.622)
O (0.396, 0.713, 0.451)
O (0.635, 0.629, 0.378)
O (0.137, 0.803, 0.575)
O (0.352, 0.074, 0.363)
P (0.420, 0.559, 0.597)
Li (0.560, 0.464, 0.902)
O (0.550, 0.957, 0.395)
O (0.293, 0.123, 0.068)
O (0.450, 0.043, 0.605)
O (0.753, 0.186, 0.733)
O (0.707, 0.877, 0.932)
Ni (0.652, 0.741, 0.512)
O (0.085, 0.609, 0.392)
O (0.104, 0.713, 0.951)
P (0.580, 0.441, 0.403)
P (0.563, 0.066, 0.636)
Li (0.440, 0.536, 0.098)
P (0.321, 0.613, 0.808)
O (0.749, 0.562, 0.149)
P (0.666, 0.081, 0.854)
O (0.536, 0.560, 0.630)
Li (0.298, 0.031, 0.858)
O (0.358, 0.667, 0.665)
O (0.852, 0.926, 0.137)
O (0.637, 0.197, 0.925)
P (0.437, 0.934, 0.364)
O (0.061, 0.930, 0.725)
O (0.648, 0.926, 0.637)
P (0.679, 0.387, 0.192)
O (0.793, 0.877, 0.432)
O (0.585, 0.391, 0.108)
Ni (0.848, 0.741, 0.012)
P (0.179, 0.613, 0.308)
O (0.207, 0.123, 0.568)
Ni (0.152, 0.259, 0.988)
O (0.939, 0.070, 0.275)
O (0.415, 0.609, 0.892)
P (0.937, 0.066, 0.136)

(ii)
A plane-wave DFT calculation with GGA+U was carried out for an optimized crystal structure of Li2NiP4O12.

Calculated values
Space-group type: No. 14
Crystal system: monoclinic

Cell: 9.290 7.441 8.607 Å, 57.24 90.00 90.00°
Element x y z (fractional)
O (0.372, 0.625, 0.055)
Li (0.816, 0.774, 0.836)
P (0.215, 0.795, 0.374)
Ni (0.000, 0.000, 0.000)
O (0.774, 0.369, 0.176)
Li (0.684, 0.774, 0.336)
P (0.715, 0.205, 0.126)
O (0.397, 0.309, 0.377)
O (0.226, 0.631, 0.824)
P (0.412, 0.548, 0.265)
O (0.603, 0.691, 0.623)
O (0.547, 0.654, 0.265)
O (0.110, 0.945, 0.227)
P (0.588, 0.452, 0.735)
Li (0.316, 0.226, 0.664)
P (0.912, 0.452, 0.235)
O (0.327, 0.913, 0.409)
O (0.610, 0.055, 0.273)
Ni (0.500, 0.000, 0.500)
P (0.785, 0.205, 0.626)
O (0.827, 0.087, 0.091)
O (0.390, 0.945, 0.727)
O (0.726, 0.369, 0.676)
O (0.953, 0.654, 0.765)
O (0.128, 0.625, 0.555)
O (0.047, 0.346, 0.235)
P (0.285, 0.795, 0.874)
O (0.628, 0.375, 0.945)
P (0.088, 0.548, 0.765)
O (0.103, 0.309, 0.877)
O (0.274, 0.631, 0.324)
O (0.173, 0.913, 0.909)
O (0.872, 0.375, 0.445)
O (0.453, 0.346, 0.735)
O (0.673, 0.087, 0.591)
O (0.890, 0.055, 0.773)
O (0.897, 0.691, 0.123)
Li (0.184, 0.226, 0.164)

Which one sits at the top of the stability order? (ii) does.